Below is an optimized crystal structure of SrNi3Ge2, with properties calculated at the PBE level.

Lattice parameters (Å, degrees): 4.0595 4.0595 14.2162 90.00 90.00 120.00
Last column: nearest neighbours and their distance in Å.
Fractional positions:
Ge 0.6667 0.3333 0.0965  4 Ni 2.37-2.39
Ge 0.3333 0.6667 0.5965  4 Ni 2.37-2.39
Ge 0.3333 0.6667 0.9035  4 Ni 2.37-2.39
Ge 0.6667 0.3333 0.4035  4 Ni 2.37-2.39
Ni 0.6667 0.3333 0.5716  4 Ge 2.37-2.39, 3 Ni 2.56
Ni 0.0000 0.0000 0.0000  6 Ni 2.56, 6 Ge 2.72
Ni 0.6667 0.3333 0.9284  4 Ge 2.37-2.39, 3 Ni 2.56
Ni 0.3333 0.6667 0.4284  4 Ge 2.37-2.39, 3 Ni 2.56
Ni 0.0000 0.0000 0.5000  6 Ni 2.56, 6 Ge 2.72
Ni 0.3333 0.6667 0.0716  4 Ge 2.37-2.39, 3 Ni 2.56
Sr 0.0000 0.0000 0.2500  6 Ge 3.20, 8 Ni 3.45-3.55
Sr 0.0000 0.0000 0.7500  6 Ge 3.20, 8 Ni 3.45-3.55

Calculated values
* uncorrected energy: -5.159 eV/atom
* space-group type: P6_3/mmc, No. 194

***

Below is an optimized crystal structure of BaPrO3, with properties calculated at the PBE level.

Lattice parameters (Å, degrees): 4.5905 4.5905 4.5905 90.00 90.00 90.00
Last column: nearest neighbours and their distance in Å.
Fractional positions:
Ba 0.5000 0.5000 0.5000  12 O 3.25
O 0.0000 0.5000 0.0000  2 Pr 2.30
O 0.0000 0.0000 0.5000  2 Pr 2.30
O 0.5000 0.0000 0.0000  2 Pr 2.30
Pr 0.0000 0.0000 0.0000  6 O 2.30

Calculated values
* magnetization: 1.00 μB/cell
* uncorrected energy: -6.791 eV/atom
* space-group type: Pm-3m, No. 221

***

Below is an optimized crystal structure of TmPu3, with properties calculated at the PBE level.

Lattice parameters (Å, degrees): 5.8656 5.8656 5.8656 131.57 131.57 70.91
Last column: nearest neighbours and their distance in Å.
Fractional positions:
Pu 0.5000 0.5000 0.0000  8 Pu 3.39, 4 Tm 3.40
Pu 0.7500 0.2500 0.5000  8 Pu 3.39-3.40, 4 Tm 3.39
Pu 0.2500 0.7500 0.5000  8 Pu 3.39-3.40, 4 Tm 3.39
Tm 0.0000 0.0000 0.0000  12 Pu 3.39-3.40

Calculated values
* ΔE to the lowest computed polymorph: 0 meV/atom
* magnetization: 17.82 μB/cell
* uncorrected energy: -11.645 eV/atom
* space-group type: I4/mmm, No. 139

***

Below is an optimized crystal structure of Li2CuSiO4, with properties calculated at the PBE level.

Lattice parameters (Å, degrees): 5.2726 5.2726 6.3029 90.00 90.00 93.70
Last column: nearest neighbours and their distance in Å.
Fractional positions:
O 0.1979 0.1954 0.2147  1 Si 1.65
O 0.3014 0.6389 0.9992  1 Si 1.65
O 0.8046 0.8021 0.2853  1 Si 1.65
O 0.6986 0.3611 0.4992  1 Si 1.65
O 0.3611 0.6986 0.5008  1 Si 1.65
O 0.1954 0.1979 0.7853  1 Si 1.65
O 0.8021 0.8046 0.7147  1 Si 1.65
O 0.6389 0.3014 0.0008  1 Si 1.65
Li 0.6898 0.6898 0.0000  4 O 1.98-2.05
Li 0.1840 0.8160 0.2500  4 O 1.96-2.01
Li 0.8160 0.1840 0.7500  4 O 1.96-2.01
Li 0.3102 0.3102 0.5000  4 O 1.98-2.05
Si 0.3279 0.3279 0.0000  4 O 1.65
Si 0.6721 0.6721 0.5000  4 O 1.65
Cu 0.1827 0.8173 0.7500  4 O 1.95-2.02
Cu 0.8173 0.1827 0.2500  4 O 1.95-2.02

Calculated values
* ΔE to the lowest computed polymorph: 30 meV/atom
* magnetization: 2.00 μB/cell
* uncorrected energy: -6.112 eV/atom
* space-group type: C222_1, No. 20

***

Question: uncorrected energy of number 1 (SrNi3Ge2)?
Answer: -5.159 eV/atom

***

Repeat the first record exactly.
Below is an optimized crystal structure of SrNi3Ge2, with properties calculated at the PBE level.

Lattice parameters (Å, degrees): 4.0595 4.0595 14.2162 90.00 90.00 120.00
Last column: nearest neighbours and their distance in Å.
Fractional positions:
Ge 0.6667 0.3333 0.0965  4 Ni 2.37-2.39
Ge 0.3333 0.6667 0.5965  4 Ni 2.37-2.39
Ge 0.3333 0.6667 0.9035  4 Ni 2.37-2.39
Ge 0.6667 0.3333 0.4035  4 Ni 2.37-2.39
Ni 0.6667 0.3333 0.5716  4 Ge 2.37-2.39, 3 Ni 2.56
Ni 0.0000 0.0000 0.0000  6 Ni 2.56, 6 Ge 2.72
Ni 0.6667 0.3333 0.9284  4 Ge 2.37-2.39, 3 Ni 2.56
Ni 0.3333 0.6667 0.4284  4 Ge 2.37-2.39, 3 Ni 2.56
Ni 0.0000 0.0000 0.5000  6 Ni 2.56, 6 Ge 2.72
Ni 0.3333 0.6667 0.0716  4 Ge 2.37-2.39, 3 Ni 2.56
Sr 0.0000 0.0000 0.2500  6 Ge 3.20, 8 Ni 3.45-3.55
Sr 0.0000 0.0000 0.7500  6 Ge 3.20, 8 Ni 3.45-3.55

Calculated values
* uncorrected energy: -5.159 eV/atom
* space-group type: P6_3/mmc, No. 194